P.
This record from the Materials Project database describes an optimized crystal structure of K2MgFe4P6O16F12. The functional is PBE+U.

Summary:
Crystal system: triclinic
ρ (g cm⁻³): 2.815
Magnetic moment (μB per cell): 18.000

Lattice parameters (Å, degrees): 7.632 7.890 10.152 99.51 102.15 92.62
Fractional coordinates of all 41 atoms:
K: 0.204 0.098 0.221
K: 0.796 0.902 0.779
Mg: 0.500 0.000 0.500
Fe: 0.000 0.500 0.500
Fe: 0.156 0.293 0.838
Fe: 0.500 0.000 0.000
Fe: 0.844 0.707 0.162
P: 0.168 0.691 0.997
P: 0.225 0.923 0.631
P: 0.422 0.406 0.652
P: 0.578 0.594 0.348
P: 0.775 0.077 0.369
P: 0.832 0.309 0.003
O: 0.079 0.763 0.114
O: 0.125 0.749 0.592
O: 0.134 0.056 0.712
O: 0.203 0.503 0.983
O: 0.283 0.427 0.531
O: 0.325 0.812 0.994
O: 0.387 0.351 0.778
O: 0.433 0.935 0.669
O: 0.567 0.065 0.331
O: 0.613 0.649 0.222
O: 0.675 0.188 0.006
O: 0.717 0.573 0.469
O: 0.797 0.497 0.017
O: 0.866 0.944 0.288
O: 0.875 0.251 0.408
O: 0.921 0.237 0.886
F: 0.021 0.702 0.861
F: 0.029 0.398 0.689
F: 0.221 0.998 0.479
F: 0.294 0.165 0.980
F: 0.432 0.438 0.301
F: 0.450 0.736 0.406
F: 0.550 0.264 0.594
F: 0.568 0.562 0.699
F: 0.706 0.835 0.020
F: 0.779 0.002 0.521
F: 0.971 0.602 0.311
F: 0.979 0.298 0.139

***

Q.
This record from the Materials Project database describes an optimized crystal structure of K2MgFe4P6O16F12. The functional is PBE+U.

Summary:
Crystal system: triclinic
ρ (g cm⁻³): 2.822
Magnetic moment (μB per cell): 18.000

Lattice parameters (Å, degrees): 7.808 8.022 10.200 109.47 101.55 92.57
Fractional coordinates of all 41 atoms:
K: 0.000 0.000 0.000
K: 0.201 0.478 0.552
Mg: 0.760 0.432 0.638
Fe: 0.109 0.731 0.265
Fe: 0.413 0.386 0.106
Fe: 0.592 0.194 0.787
Fe: 0.787 0.031 0.413
P: 0.006 0.417 0.946
P: 0.184 0.028 0.589
P: 0.376 0.077 0.257
P: 0.540 0.632 0.910
P: 0.683 0.793 0.608
P: 0.822 0.420 0.312
O: 0.000 0.601 0.050
O: 0.032 0.122 0.541
O: 0.178 0.338 0.963
O: 0.215 0.859 0.474
O: 0.238 0.916 0.211
O: 0.324 0.189 0.164
O: 0.345 0.159 0.672
O: 0.490 0.572 0.020
O: 0.565 0.039 0.281
O: 0.610 0.508 0.791
O: 0.626 0.919 0.729
O: 0.642 0.454 0.245
O: 0.733 0.821 0.485
O: 0.833 0.395 0.456
O: 0.847 0.280 0.907
O: 0.980 0.543 0.319
F: 0.124 0.950 0.702
F: 0.304 0.573 0.243
F: 0.354 0.206 0.411
F: 0.376 0.704 0.836
F: 0.508 0.210 0.968
F: 0.551 0.610 0.550
F: 0.668 0.809 0.981
F: 0.689 0.192 0.601
F: 0.843 0.706 0.684
F: 0.856 0.228 0.211
F: 0.911 0.868 0.261
F: 0.990 0.462 0.792

***

Which of them is the least stable? Correct choice: P.

***

P.
This record from the Materials Project database describes an optimized crystal structure of Sr3CoRuO6. The functional is PBE+U.

Summary:
Crystal system: triclinic
ρ (g cm⁻³): 5.623
Magnetic moment (μB per cell): 0.312

Lattice parameters (Å, degrees): 6.683 6.719 6.841 91.68 91.93 92.97
Fractional coordinates of all 22 atoms:
Sr: 0.000 0.000 0.000
Sr: 0.135 0.496 0.857
Sr: 0.275 0.363 0.357
Sr: 0.502 0.866 0.139
Sr: 0.638 0.730 0.637
Sr: 0.774 0.228 0.496
Co: 0.122 0.878 0.506
Co: 0.644 0.361 0.987
Ru: 0.388 0.110 0.748
Ru: 0.891 0.613 0.247
O: 0.097 0.153 0.656
O: 0.170 0.693 0.189
O: 0.299 0.830 0.797
O: 0.356 0.207 0.034
O: 0.419 0.017 0.461
O: 0.480 0.392 0.704
O: 0.609 0.532 0.304
O: 0.676 0.072 0.839
O: 0.789 0.645 0.963
O: 0.856 0.904 0.343
O: 0.921 0.326 0.152
O: 0.990 0.583 0.534

***

Q.
This record from the Materials Project database describes an optimized crystal structure of Sr3CoRuO6. The functional is PBE+U.

Summary:
Crystal system: triclinic
ρ (g cm⁻³): 5.616
Magnetic moment (μB per cell): 6.000

Lattice parameters (Å, degrees): 6.680 6.699 6.875 91.71 91.88 93.17
Fractional coordinates of all 22 atoms:
Sr: 0.000 0.000 0.000
Sr: 0.134 0.499 0.857
Sr: 0.271 0.364 0.357
Sr: 0.500 0.865 0.140
Sr: 0.635 0.731 0.640
Sr: 0.771 0.230 0.497
Co: 0.119 0.881 0.505
Co: 0.651 0.349 0.995
Ru: 0.385 0.115 0.749
Ru: 0.886 0.615 0.249
O: 0.093 0.152 0.658
O: 0.165 0.693 0.188
O: 0.301 0.836 0.804
O: 0.358 0.214 0.035
O: 0.412 0.015 0.463
O: 0.469 0.394 0.694
O: 0.606 0.536 0.309
O: 0.677 0.078 0.840
O: 0.783 0.642 0.963
O: 0.853 0.907 0.341
O: 0.918 0.323 0.156
O: 0.987 0.588 0.535

***

Which of them is the least stable? Correct choice: P.